MnOF: optimized geometry, GGA+U.

Output
The value obtained for the energy of formation from the pure elements is -7.0 eV per formula unit.

Unit cell a=4.8161 b=3.0809 c=18.9444 alpha=90.00 beta=90.52 gamma=90.00
Last column: nearest neighbours and their distance in Å.
Atoms (fractional coordinates):
Mn1 0.0000 0.0000 0.0000  4 O 1.97
Mn2 0.0000 0.0000 0.5000  2 O 1.90, 4 F 2.06
Mn3 0.1482 0.0000 0.2490  3 O 1.89-1.96, 2 F 2.07
Mn4 0.4192 0.5000 0.8742  2 O 1.91-1.93, 4 F 2.05-2.11
Mn5 0.4265 0.5000 0.6250  4 O 1.97-1.98
Mn6 0.5735 0.5000 0.3750  4 O 1.97-1.98
Mn7 0.5808 0.5000 0.1258  2 O 1.91-1.93, 4 F 2.05-2.11
Mn8 0.8518 0.0000 0.7510  3 O 1.89-1.96, 2 F 2.07
O1 0.1628 0.5000 0.9504  3 Mn 1.91-1.97
O2 0.2639 0.0000 0.5751  3 Mn 1.90-1.97
O3 0.3123 0.5000 0.2009  3 Mn 1.93-1.96
O4 0.4037 0.0000 0.3253  3 Mn 1.89-1.98
O5 0.5963 0.0000 0.6747  3 Mn 1.89-1.98
O6 0.6877 0.5000 0.7991  3 Mn 1.93-1.96
O7 0.7361 0.0000 0.4249  3 Mn 1.90-1.97
O8 0.8372 0.5000 0.0496  3 Mn 1.91-1.97
F1 0.0730 0.5000 0.7047  3 Mn 2.07-2.29
F2 0.1922 0.0000 0.8246  3 Mn 2.11-2.14
F3 0.2108 0.5000 0.4517  3 Mn 2.06-2.28
F4 0.3659 0.0000 0.0793  2 Mn 2.05
F5 0.6341 0.0000 0.9207  2 Mn 2.05
F6 0.7892 0.5000 0.5483  3 Mn 2.06-2.28
F7 0.8078 0.0000 0.1754  3 Mn 2.11-2.14
F8 0.9270 0.5000 0.2953  3 Mn 2.07-2.29